{
  "formula": "Ce2Si5Ir3",
  "functional": "PBE-GGA",
  "state": "relaxed",
  "rho_g_cm3": 9.698,
  "vol_a3_per_atom": 17.1,
  "formation_energy_kcal_per_mol_atoms": -22.823,
  "lattice_angstrom": [[-5.0062, 5.7849, 2.9482], [5.0062, -5.7849, 2.9482], [5.0062, 5.7849, -2.9482]],
  "species": ["Ce", "Ce", "Ce", "Ce", "Si", "Si", "Si", "Si", "Si", "Si", "Si", "Si", "Si", "Si", "Ir", "Ir", "Ir", "Ir", "Ir", "Ir"],
  "frac_coords": [[0.1316, 0.2303, 0.3618], [0.3684, 0.7303, 0.0987], [0.6316, 0.2697, 0.9013], [0.8684, 0.7697, 0.6382], [0.0234, 0.7500, 0.2734], [0.1072, 0.6531, 0.7603], [0.2500, 0.2500, 0.0000], [0.3928, 0.1531, 0.5459], [0.4766, 0.7500, 0.7266], [0.5234, 0.2500, 0.2734], [0.6072, 0.8469, 0.4541], [0.7500, 0.7500, 0.0000], [0.8928, 0.3469, 0.2397], [0.9766, 0.2500, 0.7266], [0.1390, 0.8860, 0.0250], [0.2500, 0.7500, 0.5000], [0.3610, 0.3860, 0.7471], [0.6390, 0.6140, 0.2529], [0.7500, 0.2500, 0.5000], [0.8610, 0.1140, 0.9750]]
}